#a
# Sr2CaV2Si4O14 (PBE+U, optimized geometry)
data_Sr2CaV2Si4O14
_chemical_formula_sum 'Sr2 Ca1 V2 Si4 O14'
_symmetry_space_group_name_H-M 'P 1'
_symmetry_Int_Tables_number 1
_symmetry_space_group_name_Hall 'P 1'
_cell_length_a 5.5255
_cell_length_b 7.3718
_cell_length_c 7.9362
_cell_angle_alpha 93.93
_cell_angle_beta 110.37
_cell_angle_gamma 90.00
loop_
_atom_site_label
_atom_site_fract_x
_atom_site_fract_y
_atom_site_fract_z
O1 0.4908 0.0000 0.0000
O2 0.9996 0.7871 0.0229
O3 0.9257 0.4506 0.2956
O4 0.5698 0.9403 0.6833
O5 0.6417 0.7501 0.2706
O6 0.5318 0.5000 0.0000
O7 0.4069 0.4391 0.2782
O8 0.6301 0.5494 0.7044
O9 0.9767 0.2129 0.9771
O10 0.1287 0.5609 0.7218
O11 0.0925 0.9508 0.6863
O12 0.3711 0.2499 0.7294
O13 0.4062 0.0492 0.3137
O14 0.8865 0.0597 0.3167
V1 0.1049 0.2158 0.2237
V2 0.8813 0.7842 0.7763
Sr1 0.7922 0.2241 0.5986
Sr2 0.1936 0.7759 0.4014
Si1 0.4137 0.4752 0.7800
Si2 0.3872 0.0327 0.7865
Si3 0.6337 0.5248 0.2200
Si4 0.6007 0.9673 0.2135
Ca1 0.0661 0.5000 0.0000
# SG: C2
# Spin magnetization (μB per formula unit): 0.00
# Calculated volume (A^3/atom): 13.141



#b
# Sr2CaV2Si4O14 (PBE+U, optimized geometry)
data_Sr2CaV2Si4O14
_chemical_formula_sum 'Sr2 Ca1 V2 Si4 O14'
_symmetry_space_group_name_H-M 'P 1'
_symmetry_Int_Tables_number 1
_symmetry_space_group_name_Hall 'P 1'
_cell_length_a 5.5175
_cell_length_b 7.5841
_cell_length_c 7.7536
_cell_angle_alpha 90.00
_cell_angle_beta 110.84
_cell_angle_gamma 90.00
loop_
_atom_site_label
_atom_site_fract_x
_atom_site_fract_y
_atom_site_fract_z
Ca1 0.4565 0.7500 0.9129
Si1 0.3827 0.4504 0.7654
Si2 0.3827 0.0496 0.7654
Si3 0.6092 0.9890 0.2183
Si4 0.6092 0.5110 0.2183
O1 0.4973 0.0369 0.9946
O2 0.9033 0.4451 0.3078
O3 0.9033 0.0549 0.3078
O4 0.4044 0.0549 0.3078
O5 0.4973 0.4631 0.9946
O6 0.5869 0.9412 0.6984
O7 0.5869 0.5588 0.6984
O8 0.4044 0.4451 0.3078
O9 0.6151 0.7500 0.2303
O10 0.0003 0.7500 0.0006
O11 0.3410 0.2500 0.6821
O12 0.1115 0.5588 0.6984
O13 0.9779 0.2500 0.9558
O14 0.1115 0.9412 0.6984
Sr1 0.1703 0.7500 0.3407
Sr2 0.8073 0.2500 0.6146
V1 0.8760 0.7500 0.7519
V2 0.1024 0.2500 0.2048
# SG: Amm2
# Spin magnetization (μB per formula unit): 0.12
# Calculated volume (A^3/atom): 13.183



#c
# Sr2CaV2Si4O14 (PBE+U, optimized geometry)
data_Sr2CaV2Si4O14
_chemical_formula_sum 'Sr2 Ca1 V2 Si4 O14'
_symmetry_space_group_name_H-M 'P 1'
_symmetry_Int_Tables_number 1
_symmetry_space_group_name_Hall 'P 1'
_cell_length_a 5.8687
_cell_length_b 7.3423
_cell_length_c 8.2227
_cell_angle_alpha 95.24
_cell_angle_beta 113.21
_cell_angle_gamma 75.49
loop_
_atom_site_label
_atom_site_fract_x
_atom_site_fract_y
_atom_site_fract_z
Si1 0.6030 0.9620 0.2153
Si2 0.6265 0.5179 0.2115
Si3 0.3248 0.4936 0.8063
Si4 0.4176 0.0663 0.8041
O1 0.8970 0.3797 0.2220
O2 0.0364 0.6264 0.7433
O3 0.3810 0.0420 0.2914
O4 0.6159 0.9720 0.7065
O5 0.1943 0.9521 0.7261
O6 0.5354 0.5062 0.3689
O7 0.4014 0.4718 0.0229
O8 0.0438 0.8293 0.0724
O9 0.8712 0.0180 0.3443
O10 0.6567 0.7317 0.1834
O11 0.5561 0.0604 0.0223
O12 0.2835 0.2823 0.7255
O13 0.9564 0.1822 0.9242
O14 0.5397 0.5454 0.7554
Sr1 0.7463 0.2532 0.5846
Sr2 0.3160 0.7842 0.4764
V1 0.9772 0.1002 0.1461
V2 0.9867 0.8938 0.8422
Ca1 0.9580 0.5145 0.9967
# SG: P1
# Spin magnetization (μB per formula unit): 4.00
# Calculated volume (A^3/atom): 13.706



#d
# Sr2CaV2Si4O14 (PBE+U, optimized geometry)
data_Sr2CaV2Si4O14
_chemical_formula_sum 'Sr2 Ca1 V2 Si4 O14'
_symmetry_space_group_name_H-M 'P 1'
_symmetry_Int_Tables_number 1
_symmetry_space_group_name_Hall 'P 1'
_cell_length_a 5.5948
_cell_length_b 7.7707
_cell_length_c 8.1928
_cell_angle_alpha 74.64
_cell_angle_beta 111.07
_cell_angle_gamma 90.35
loop_
_atom_site_label
_atom_site_fract_x
_atom_site_fract_y
_atom_site_fract_z
V1 0.1656 0.1945 0.2853
V2 0.9427 0.5562 0.9022
Sr1 0.7881 0.3177 0.6304
Sr2 0.1707 0.6929 0.3209
O1 0.9983 0.3237 0.9964
O2 0.9998 0.7272 0.0002
O3 0.0907 0.6099 0.7032
O4 0.4153 0.9759 0.2722
O5 0.9014 0.9730 0.3000
O6 0.4271 0.4103 0.3156
O7 0.6413 0.7036 0.2365
O8 0.3658 0.3204 0.7398
O9 0.0602 0.0581 0.6972
O10 0.9159 0.3971 0.3296
O11 0.4781 0.0757 0.6062
O12 0.5874 0.6134 0.6938
O13 0.5343 0.9999 0.9624
O14 0.5177 0.4983 0.0027
Si1 0.6253 0.4937 0.2188
Si2 0.3870 0.5122 0.7879
Si3 0.3539 0.0996 0.7509
Si4 0.6145 0.9304 0.1813
Ca1 0.7690 0.8959 0.5708
# SG: P1
# Spin magnetization (μB per formula unit): 4.03
# Calculated volume (A^3/atom): 13.866



#c wins, 4.7 kJ/mol of atoms ahead of the next structure.



#a
# CaVSi4O15 (PBE+U, optimized geometry)
data_CaVSi4O15
_chemical_formula_sum 'Ca2 V2 Si8 O30'
_symmetry_space_group_name_H-M 'P 1'
_symmetry_Int_Tables_number 1
_symmetry_space_group_name_Hall 'P 1'
_cell_length_a 8.6306
_cell_length_b 8.6306
_cell_length_c 9.1724
_cell_angle_alpha 90.00
_cell_angle_beta 90.00
_cell_angle_gamma 104.41
loop_
_atom_site_label
_atom_site_fract_x
_atom_site_fract_y
_atom_site_fract_z
O1 0.0045 0.8164 0.9164
O2 0.2829 0.7568 0.9824
O3 0.9684 0.7776 0.5666
O4 0.8842 0.3793 0.2464
O5 0.6207 0.1158 0.7464
O6 0.3701 0.3701 0.4367
O7 0.4751 0.9848 0.5099
O8 0.7568 0.2829 0.9824
O9 0.7776 0.9684 0.5666
O10 0.7171 0.2432 0.4824
O11 0.6299 0.6299 0.9367
O12 0.0152 0.5249 0.0099
O13 0.8852 0.8852 0.2951
O14 0.4899 0.4899 0.1827
O15 0.8164 0.0045 0.9164
O16 0.5034 0.3424 0.2078
O17 0.3793 0.8842 0.2464
O18 0.9848 0.4751 0.5099
O19 0.4966 0.6576 0.7078
O20 0.1148 0.1148 0.7951
O21 0.5101 0.5101 0.6827
O22 0.2224 0.0316 0.0666
O23 0.5249 0.0152 0.0099
O24 0.9955 0.1836 0.4164
O25 0.2432 0.7171 0.4824
O26 0.0316 0.2224 0.0666
O27 0.6576 0.4966 0.7078
O28 0.1158 0.6207 0.7464
O29 0.3424 0.5034 0.2078
O30 0.1836 0.9955 0.4164
Si1 0.0793 0.6469 0.5750
Si2 0.3215 0.8938 0.4145
Si3 0.6469 0.0793 0.5750
Si4 0.6785 0.1062 0.9145
Si5 0.8938 0.3215 0.4145
Si6 0.1062 0.6785 0.9145
Si7 0.9207 0.3531 0.0750
Si8 0.3531 0.9207 0.0750
Ca1 0.2228 0.2228 0.2574
Ca2 0.7772 0.7772 0.7574
V1 0.9586 0.9586 0.4486
V2 0.0414 0.0414 0.9486
# SG: Cmc2_1
# Spin magnetization (μB per formula unit): 1.00
# Calculated volume (A^3/atom): 15.755



#b
# CaVSi4O15 (PBE+U, optimized geometry)
data_CaVSi4O15
_chemical_formula_sum 'Ca4 V4 Si16 O60'
_symmetry_space_group_name_H-M 'P 1'
_symmetry_Int_Tables_number 1
_symmetry_space_group_name_Hall 'P 1'
_cell_length_a 9.9209
_cell_length_b 10.1013
_cell_length_c 13.6840
_cell_angle_alpha 90.00
_cell_angle_beta 90.00
_cell_angle_gamma 90.00
loop_
_atom_site_label
_atom_site_fract_x
_atom_site_fract_y
_atom_site_fract_z
Si1 0.6124 0.6749 0.0392
Si2 0.8876 0.1749 0.9608
Si3 0.3236 0.6033 0.4665
Si4 0.6124 0.6749 0.4608
Si5 0.3236 0.6033 0.0335
Si6 0.8236 0.8967 0.4665
Si7 0.3876 0.3251 0.9608
Si8 0.6764 0.3967 0.5335
Si9 0.3876 0.3251 0.5392
Si10 0.6764 0.3967 0.9665
Si11 0.8876 0.1749 0.5392
Si12 0.1124 0.8251 0.0392
Si13 0.1764 0.1033 0.9665
Si14 0.1764 0.1033 0.5335
Si15 0.1124 0.8251 0.4608
Si16 0.8236 0.8967 0.0335
O1 0.5368 0.3350 0.4884
O2 0.5624 0.0868 0.3303
O3 0.0624 0.4132 0.1697
O4 0.9063 0.5894 0.2500
O5 0.5624 0.0868 0.1697
O6 0.2992 0.4556 0.9892
O7 0.0307 0.0519 0.2500
O8 0.9376 0.5868 0.8303
O9 0.0937 0.4106 0.7500
O10 0.5872 0.6874 0.3428
O11 0.2992 0.4556 0.5108
O12 0.9632 0.8350 0.5116
O13 0.0624 0.4132 0.3303
O14 0.6928 0.8072 0.0045
O15 0.5307 0.4481 0.2500
O16 0.4632 0.6650 0.9884
O17 0.0368 0.1650 0.4884
O18 0.6928 0.8072 0.4955
O19 0.1928 0.6928 0.4955
O20 0.4693 0.5519 0.7500
O21 0.8349 0.9016 0.3464
O22 0.3072 0.1928 0.9955
O23 0.3349 0.5984 0.1536
O24 0.7008 0.5444 0.4892
O25 0.4063 0.9106 0.2500
O26 0.4376 0.9132 0.8303
O27 0.6651 0.4016 0.8464
O28 0.4632 0.6650 0.5116
O29 0.9693 0.9481 0.7500
O30 0.4376 0.9132 0.6697
O31 0.8072 0.3072 0.5045
O32 0.2008 0.9556 0.0108
O33 0.9575 0.6563 0.7500
O34 0.0368 0.1650 0.0116
O35 0.0425 0.3437 0.2500
O36 0.5872 0.6874 0.1572
O37 0.6651 0.4016 0.6536
O38 0.4128 0.3126 0.8428
O39 0.7992 0.0444 0.9892
O40 0.0872 0.8126 0.3428
O41 0.9128 0.1874 0.8428
O42 0.0872 0.8126 0.1572
O43 0.5937 0.0894 0.7500
O44 0.4575 0.8437 0.7500
O45 0.5425 0.1563 0.2500
O46 0.9376 0.5868 0.6697
O47 0.1651 0.0984 0.6536
O48 0.7992 0.0444 0.5108
O49 0.4128 0.3126 0.6572
O50 0.5368 0.3350 0.0116
O51 0.9632 0.8350 0.9884
O52 0.9128 0.1874 0.6572
O53 0.8072 0.3072 0.9955
O54 0.3349 0.5984 0.3464
O55 0.2008 0.9556 0.4892
O56 0.1651 0.0984 0.8464
O57 0.8349 0.9016 0.1536
O58 0.3072 0.1928 0.5045
O59 0.1928 0.6928 0.0045
O60 0.7008 0.5444 0.0108
V1 0.4777 0.5973 0.2500
V2 0.5223 0.4027 0.7500
V3 0.0223 0.0973 0.7500
V4 0.9777 0.9027 0.2500
Ca1 0.8630 0.3807 0.7500
Ca2 0.6370 0.8807 0.2500
Ca3 0.3630 0.1193 0.7500
Ca4 0.1370 0.6193 0.2500
# SG: Pnma
# Spin magnetization (μB per formula unit): 1.01
# Calculated volume (A^3/atom): 16.325



#a wins, 1.0 kJ/mol of atoms ahead of the next structure.



#a
# CaV2Zn2Si2O10 (PBE+U, optimized geometry)
data_CaV2Zn2Si2O10
_chemical_formula_sum 'Ca1 V2 Zn2 Si2 O10'
_symmetry_space_group_name_H-M 'P 1'
_symmetry_Int_Tables_number 1
_symmetry_space_group_name_Hall 'P 1'
_cell_length_a 5.5769
_cell_length_b 7.2969
_cell_length_c 8.1068
_cell_angle_alpha 91.31
_cell_angle_beta 46.38
_cell_angle_gamma 110.23
loop_
_atom_site_label
_atom_site_fract_x
_atom_site_fract_y
_atom_site_fract_z
O1 0.5233 0.4627 0.7507
O2 0.5237 0.7728 0.5822
O3 0.3643 0.8856 0.3333
O4 0.6014 0.1132 0.6895
O5 0.4404 0.5442 0.2796
O6 0.0147 0.6234 0.2459
O7 0.7614 0.8250 0.9049
O8 0.4567 0.2316 0.4439
O9 0.1728 0.1479 0.1297
O10 0.8768 0.3709 0.8308
V1 0.4433 0.4868 0.5385
V2 0.6348 0.0420 0.4297
Si1 0.5574 0.2798 0.8321
Si2 0.3772 0.7114 0.1946
Zn1 0.4740 0.2696 0.2034
Zn2 0.8279 0.7739 0.6421
Ca1 0.1042 0.7884 0.9634
# SG: P1
# Spin magnetization (μB per formula unit): 4.02
# Calculated volume (A^3/atom): 12.499



#b
# CaV2Zn2Si2O10 (PBE+U, optimized geometry)
data_CaV2Zn2Si2O10
_chemical_formula_sum 'Ca1 V2 Zn2 Si2 O10'
_symmetry_space_group_name_H-M 'P 1'
_symmetry_Int_Tables_number 1
_symmetry_space_group_name_Hall 'P 1'
_cell_length_a 5.5870
_cell_length_b 7.5530
_cell_length_c 8.3287
_cell_angle_alpha 88.55
_cell_angle_beta 39.54
_cell_angle_gamma 105.55
loop_
_atom_site_label
_atom_site_fract_x
_atom_site_fract_y
_atom_site_fract_z
O1 0.8373 0.3368 0.8187
O2 0.1959 0.6832 0.1469
O3 0.8918 0.9733 0.8950
O4 0.6143 0.2827 0.3496
O5 0.4991 0.3924 0.7228
O6 0.5067 0.6093 0.2501
O7 0.2067 0.8801 0.4263
O8 0.0709 0.0854 0.1396
O9 0.7187 0.0981 0.6174
O10 0.4146 0.7336 0.6185
V1 0.4492 0.9883 0.5278
V2 0.5061 0.5146 0.4784
Si1 0.4483 0.7875 0.1872
Si2 0.5345 0.2180 0.8208
Zn1 0.5833 0.8063 0.7531
Zn2 0.8341 0.2153 0.0388
Ca1 0.2118 0.3813 0.2112
# SG: P1
# Spin magnetization (μB per formula unit): 4.03
# Calculated volume (A^3/atom): 11.736



#a wins, 1.3 kJ/mol of atoms ahead of the next structure.



#a
# Ca2SnWO6 (PBE+U, optimized geometry)
data_Ca2SnWO6
_chemical_formula_sum 'Ca4 Sn2 W2 O12'
_symmetry_space_group_name_H-M 'P 1'
_symmetry_Int_Tables_number 1
_symmetry_space_group_name_Hall 'P 1'
_cell_length_a 5.9632
_cell_length_b 5.6610
_cell_length_c 10.0408
_cell_angle_alpha 55.68
_cell_angle_beta 90.00
_cell_angle_gamma 90.00
loop_
_atom_site_label
_atom_site_fract_x
_atom_site_fract_y
_atom_site_fract_z
O1 0.6655 0.6571 0.0587
O2 0.1655 0.3429 0.4413
O3 0.5654 0.9129 0.2160
O4 0.7238 0.2292 0.4210
O5 0.0654 0.0871 0.2840
O6 0.7762 0.2292 0.9210
O7 0.4346 0.0871 0.7840
O8 0.2762 0.7708 0.5790
O9 0.8345 0.6571 0.5587
O10 0.2238 0.7708 0.0790
O11 0.3345 0.3429 0.9413
O12 0.9346 0.9129 0.7160
Ca1 0.5593 0.7298 0.7540
Ca2 0.0593 0.2702 0.7460
Ca3 0.9407 0.7298 0.2540
Ca4 0.4407 0.2702 0.2460
W1 0.5000 0.0000 0.0000
W2 0.0000 0.0000 0.5000
Sn1 0.5000 0.5000 0.5000
Sn2 0.0000 0.5000 0.0000
# SG: P2_1/c
# Spin magnetization (μB per formula unit): 0.00
# Calculated volume (A^3/atom): 13.997



#b
# Ca2SnWO6 (PBE+U, optimized geometry)
data_Ca2SnWO6
_chemical_formula_sum 'Ca2 Sn1 W1 O6'
_symmetry_space_group_name_H-M 'P 1'
_symmetry_Int_Tables_number 1
_symmetry_space_group_name_Hall 'P 1'
_cell_length_a 5.6996
_cell_length_b 5.7052
_cell_length_c 8.1261
_cell_angle_alpha 90.80
_cell_angle_beta 135.15
_cell_angle_gamma 119.46
loop_
_atom_site_label
_atom_site_fract_x
_atom_site_fract_y
_atom_site_fract_z
Ca1 0.0096 0.5311 0.2336
Ca2 0.0106 0.5366 0.7330
O1 0.5751 0.0566 0.3462
O2 0.4089 0.8805 0.6625
O3 0.4283 0.4804 0.2718
O4 0.2064 0.0600 0.8485
O5 0.8102 0.8665 0.1589
O6 0.6197 0.4894 0.7674
Sn1 0.0076 0.9904 0.5014
W1 0.0076 0.9884 0.0025
# SG: P1
# Spin magnetization (μB per formula unit): 2.00
# Calculated volume (A^3/atom): 13.092



#b wins, 3.6 kJ/mol of atoms ahead of the next structure.